# 1
First-principles (PBE+U) data for a geometry-optimized Li3MnFeCoP3O12 structure, as listed in the Materials Project.

a b c (Å): 10.431 6.089 14.291
angles (deg): 90.00 89.93 90.00
Fractional coordinates of all 84 atoms:
O (0.405, 0.750, 0.414)
O (0.901, 0.750, 0.421)
O (0.546, 0.750, 0.601)
O (0.542, 0.750, 0.929)
O (0.952, 0.250, 0.434)
O (0.667, 0.047, 0.740)
O (0.833, 0.545, 0.239)
O (0.838, 0.954, 0.903)
O (0.665, 0.451, 0.074)
O (0.162, 0.452, 0.093)
O (0.669, 0.048, 0.406)
O (0.096, 0.250, 0.245)
O (0.339, 0.953, 0.261)
O (0.041, 0.750, 0.238)
O (0.046, 0.750, 0.899)
O (0.831, 0.546, 0.573)
O (0.833, 0.955, 0.239)
O (0.339, 0.547, 0.261)
O (0.337, 0.953, 0.596)
O (0.599, 0.250, 0.253)
O (0.548, 0.750, 0.265)
O (0.160, 0.452, 0.428)
O (0.601, 0.250, 0.587)
O (0.333, 0.547, 0.928)
O (0.460, 0.250, 0.403)
O (0.669, 0.452, 0.406)
O (0.400, 0.750, 0.749)
O (0.956, 0.250, 0.765)
O (0.162, 0.048, 0.093)
O (0.166, 0.047, 0.761)
O (0.160, 0.048, 0.428)
O (0.040, 0.750, 0.570)
O (0.953, 0.250, 0.098)
O (0.333, 0.953, 0.928)
O (0.097, 0.250, 0.581)
O (0.838, 0.546, 0.903)
O (0.166, 0.453, 0.761)
O (0.904, 0.750, 0.087)
O (0.098, 0.250, 0.914)
O (0.456, 0.250, 0.068)
O (0.600, 0.250, 0.920)
O (0.337, 0.547, 0.596)
O (0.665, 0.049, 0.074)
O (0.458, 0.250, 0.735)
O (0.831, 0.954, 0.573)
O (0.667, 0.453, 0.740)
O (0.902, 0.750, 0.751)
O (0.404, 0.750, 0.079)
P (0.907, 0.750, 0.859)
P (0.409, 0.750, 0.306)
P (0.095, 0.250, 0.806)
P (0.091, 0.250, 0.473)
P (0.407, 0.750, 0.642)
P (0.594, 0.250, 0.028)
P (0.902, 0.750, 0.528)
P (0.904, 0.750, 0.195)
P (0.404, 0.750, 0.972)
P (0.597, 0.250, 0.361)
P (0.597, 0.250, 0.694)
P (0.092, 0.250, 0.138)
Fe (0.720, 0.750, 0.342)
Fe (0.281, 0.250, 0.660)
Fe (0.218, 0.750, 0.824)
Fe (0.280, 0.250, 0.991)
Mn (0.218, 0.750, 0.494)
Mn (0.719, 0.750, 0.006)
Mn (0.281, 0.250, 0.326)
Mn (0.219, 0.750, 0.159)
Li (0.000, 0.002, 0.999)
Li (0.503, 0.500, 0.501)
Li (0.502, 0.000, 0.167)
Li (0.997, 0.000, 0.334)
Li (0.502, 0.500, 0.167)
Li (0.998, 0.498, 0.667)
Li (0.501, 0.001, 0.833)
Li (0.501, 0.499, 0.833)
Li (0.000, 0.498, 0.999)
Li (0.503, 0.000, 0.501)
Li (0.998, 0.002, 0.667)
Li (0.997, 0.500, 0.334)
Co (0.781, 0.250, 0.172)
Co (0.723, 0.750, 0.671)
Co (0.779, 0.250, 0.839)
Co (0.780, 0.250, 0.506)

Results
ΔE_f (eV/f.u.): -52.375
Space-group type: No. 6
Theoretical density (g cm⁻³): 3.479
Raw total energy (eV/f.u.): -144.65
Distance to the lowest polymorph of the same formula (meV per atom): 0
Total magnetic moment (Bohr magnetons per cell): 48.0

# 2
First-principles (PBE+U) data for a geometry-optimized Li3MnFeCoP3O12 structure, as listed in the Materials Project.

a b c (Å): 6.082 10.435 14.308
angles (deg): 89.97 90.00 90.00
Fractional coordinates of all 84 atoms:
Li (0.250, 0.003, 0.666)
Li (0.750, 0.003, 0.666)
Li (0.750, 0.002, 0.000)
Li (0.250, 0.002, 0.000)
Li (0.751, 0.497, 0.501)
Li (0.750, 0.497, 0.833)
Li (0.249, 0.497, 0.501)
Li (0.250, 0.497, 0.833)
Li (0.750, 0.002, 0.333)
Li (0.250, 0.498, 0.167)
Li (0.750, 0.498, 0.167)
Li (0.250, 0.002, 0.333)
P (0.000, 0.403, 0.361)
P (0.500, 0.591, 0.305)
P (0.000, 0.404, 0.027)
P (0.500, 0.588, 0.640)
P (0.000, 0.908, 0.806)
P (0.500, 0.100, 0.860)
P (0.500, 0.592, 0.973)
P (0.000, 0.910, 0.473)
P (0.500, 0.097, 0.194)
P (0.000, 0.909, 0.138)
P (0.500, 0.098, 0.529)
P (0.000, 0.403, 0.694)
Co (0.000, 0.219, 0.507)
Co (0.500, 0.279, 0.675)
Co (0.000, 0.220, 0.838)
Co (0.000, 0.219, 0.172)
O (0.500, 0.961, 0.900)
O (0.500, 0.097, 0.087)
O (0.202, 0.333, 0.073)
O (0.298, 0.662, 0.261)
O (0.000, 0.401, 0.920)
O (0.500, 0.594, 0.081)
O (0.297, 0.664, 0.930)
O (0.799, 0.837, 0.760)
O (0.000, 0.540, 0.403)
O (0.296, 0.169, 0.572)
O (0.500, 0.104, 0.752)
O (0.000, 0.047, 0.097)
O (0.797, 0.332, 0.739)
O (0.203, 0.332, 0.406)
O (0.500, 0.449, 0.601)
O (0.703, 0.664, 0.930)
O (0.705, 0.168, 0.238)
O (0.798, 0.838, 0.092)
O (0.703, 0.659, 0.595)
O (0.000, 0.903, 0.913)
O (0.000, 0.905, 0.245)
O (0.295, 0.168, 0.238)
O (0.500, 0.961, 0.571)
O (0.000, 0.904, 0.580)
O (0.000, 0.401, 0.253)
O (0.702, 0.662, 0.261)
O (0.000, 0.047, 0.765)
O (0.000, 0.542, 0.069)
O (0.201, 0.837, 0.760)
O (0.297, 0.659, 0.595)
O (0.705, 0.168, 0.905)
O (0.000, 0.048, 0.432)
O (0.203, 0.332, 0.739)
O (0.798, 0.840, 0.427)
O (0.500, 0.959, 0.237)
O (0.500, 0.594, 0.413)
O (0.500, 0.455, 0.931)
O (0.295, 0.168, 0.905)
O (0.202, 0.838, 0.092)
O (0.000, 0.400, 0.586)
O (0.704, 0.169, 0.572)
O (0.797, 0.332, 0.406)
O (0.202, 0.840, 0.427)
O (0.500, 0.453, 0.264)
O (0.500, 0.097, 0.421)
O (0.000, 0.541, 0.735)
O (0.500, 0.594, 0.748)
O (0.798, 0.333, 0.073)
Fe (0.500, 0.280, 0.009)
Fe (0.000, 0.718, 0.992)
Fe (0.000, 0.720, 0.662)
Fe (0.500, 0.280, 0.342)
Mn (0.500, 0.781, 0.826)
Mn (0.000, 0.719, 0.327)
Mn (0.500, 0.782, 0.160)
Mn (0.500, 0.781, 0.495)

Results
ΔE_f (eV/f.u.): -46.910
Space-group type: No. 6
Theoretical density (g cm⁻³): 3.478
Raw total energy (eV/f.u.): -139.19
Distance to the lowest polymorph of the same formula (meV per atom): 261
Total magnetic moment (Bohr magnetons per cell): 2.8

# 3
First-principles (PBE+U) data for a geometry-optimized Li3MnFeCoP3O12 structure, as listed in the Materials Project.

a b c (Å): 6.092 10.460 14.278
angles (deg): 89.89 90.00 90.00
Fractional coordinates of all 84 atoms:
P (0.500, 0.902, 0.861)
P (0.000, 0.596, 0.361)
P (0.000, 0.090, 0.806)
P (0.000, 0.598, 0.694)
P (0.500, 0.409, 0.307)
P (0.500, 0.902, 0.528)
P (0.500, 0.903, 0.194)
P (0.500, 0.408, 0.974)
P (0.000, 0.092, 0.471)
P (0.000, 0.092, 0.138)
P (0.500, 0.411, 0.639)
P (0.000, 0.596, 0.027)
O (0.297, 0.337, 0.930)
O (0.703, 0.337, 0.263)
O (0.000, 0.458, 0.402)
O (0.798, 0.162, 0.425)
O (0.000, 0.599, 0.253)
O (0.297, 0.337, 0.263)
O (0.500, 0.405, 0.747)
O (0.799, 0.163, 0.092)
O (0.500, 0.902, 0.753)
O (0.202, 0.161, 0.761)
O (0.000, 0.460, 0.737)
O (0.702, 0.340, 0.594)
O (0.298, 0.340, 0.594)
O (0.500, 0.040, 0.903)
O (0.500, 0.902, 0.087)
O (0.796, 0.668, 0.739)
O (0.798, 0.666, 0.406)
O (0.703, 0.831, 0.572)
O (0.000, 0.953, 0.766)
O (0.000, 0.099, 0.246)
O (0.201, 0.163, 0.092)
O (0.500, 0.039, 0.570)
O (0.798, 0.666, 0.072)
O (0.000, 0.095, 0.578)
O (0.000, 0.954, 0.099)
O (0.297, 0.831, 0.572)
O (0.704, 0.833, 0.238)
O (0.500, 0.545, 0.931)
O (0.500, 0.546, 0.264)
O (0.202, 0.666, 0.406)
O (0.000, 0.458, 0.069)
O (0.500, 0.407, 0.414)
O (0.500, 0.406, 0.081)
O (0.000, 0.598, 0.586)
O (0.500, 0.902, 0.420)
O (0.000, 0.096, 0.914)
O (0.704, 0.832, 0.905)
O (0.202, 0.162, 0.425)
O (0.000, 0.598, 0.920)
O (0.798, 0.161, 0.761)
O (0.202, 0.666, 0.072)
O (0.000, 0.953, 0.430)
O (0.204, 0.668, 0.739)
O (0.703, 0.337, 0.930)
O (0.296, 0.833, 0.238)
O (0.500, 0.549, 0.599)
O (0.500, 0.040, 0.236)
O (0.296, 0.832, 0.905)
Li (0.249, 0.998, 0.333)
Li (0.751, 0.998, 0.667)
Li (0.750, 0.503, 0.833)
Li (0.750, 0.999, 0.000)
Li (0.249, 0.998, 0.667)
Li (0.751, 0.998, 0.333)
Li (0.750, 0.502, 0.167)
Li (0.751, 0.502, 0.501)
Li (0.250, 0.502, 0.167)
Li (0.249, 0.502, 0.501)
Li (0.250, 0.503, 0.833)
Li (0.250, 0.999, 0.000)
Mn (0.500, 0.218, 0.160)
Mn (0.500, 0.218, 0.827)
Mn (0.000, 0.282, 0.660)
Mn (0.500, 0.219, 0.494)
Fe (0.500, 0.720, 0.007)
Fe (0.000, 0.282, 0.326)
Fe (0.500, 0.720, 0.341)
Fe (0.000, 0.280, 0.993)
Co (0.000, 0.778, 0.839)
Co (0.000, 0.779, 0.173)
Co (0.500, 0.722, 0.674)
Co (0.000, 0.780, 0.507)

Results
ΔE_f (eV/f.u.): -52.001
Space-group type: No. 6
Theoretical density (g cm⁻³): 3.471
Raw total energy (eV/f.u.): -144.28
Distance to the lowest polymorph of the same formula (meV per atom): 18
Total magnetic moment (Bohr magnetons per cell): 48.1

# 4
First-principles (PBE+U) data for a geometry-optimized Li3MnFeCoP3O12 structure, as listed in the Materials Project.

a b c (Å): 6.078 10.437 14.276
angles (deg): 89.99 90.00 90.00
Fractional coordinates of all 84 atoms:
O (0.704, 0.668, 0.927)
O (0.202, 0.340, 0.073)
O (0.298, 0.160, 0.240)
O (0.203, 0.336, 0.738)
O (0.702, 0.161, 0.906)
O (0.500, 0.954, 0.568)
O (0.702, 0.164, 0.572)
O (0.000, 0.402, 0.585)
O (0.000, 0.900, 0.914)
O (0.500, 0.460, 0.265)
O (0.202, 0.338, 0.408)
O (0.704, 0.669, 0.262)
O (0.000, 0.548, 0.401)
O (0.298, 0.161, 0.906)
O (0.500, 0.097, 0.753)
O (0.000, 0.550, 0.068)
O (0.204, 0.833, 0.428)
O (0.000, 0.546, 0.733)
O (0.000, 0.039, 0.764)
O (0.500, 0.461, 0.931)
O (0.796, 0.831, 0.094)
O (0.798, 0.338, 0.408)
O (0.500, 0.096, 0.419)
O (0.296, 0.668, 0.927)
O (0.500, 0.601, 0.746)
O (0.703, 0.668, 0.593)
O (0.000, 0.403, 0.255)
O (0.500, 0.095, 0.087)
O (0.797, 0.336, 0.738)
O (0.297, 0.668, 0.593)
O (0.296, 0.669, 0.262)
O (0.500, 0.952, 0.899)
O (0.204, 0.831, 0.094)
O (0.500, 0.459, 0.599)
O (0.500, 0.602, 0.414)
O (0.796, 0.833, 0.428)
O (0.298, 0.164, 0.572)
O (0.000, 0.899, 0.247)
O (0.500, 0.951, 0.234)
O (0.500, 0.601, 0.080)
O (0.798, 0.340, 0.073)
O (0.000, 0.039, 0.098)
O (0.702, 0.160, 0.240)
O (0.797, 0.831, 0.761)
O (0.000, 0.042, 0.433)
O (0.000, 0.900, 0.581)
O (0.203, 0.831, 0.761)
O (0.000, 0.405, 0.920)
P (0.000, 0.409, 0.363)
P (0.500, 0.599, 0.972)
P (0.000, 0.407, 0.693)
P (0.500, 0.598, 0.306)
P (0.500, 0.092, 0.527)
P (0.000, 0.902, 0.139)
P (0.500, 0.091, 0.860)
P (0.000, 0.902, 0.806)
P (0.000, 0.411, 0.028)
P (0.000, 0.904, 0.473)
P (0.500, 0.089, 0.194)
P (0.500, 0.597, 0.638)
Li (0.749, 0.501, 0.500)
Li (0.249, 0.996, 0.333)
Li (0.249, 0.504, 0.167)
Li (0.751, 0.996, 0.333)
Li (0.751, 0.504, 0.167)
Li (0.751, 0.503, 0.833)
Li (0.249, 0.503, 0.833)
Li (0.751, 0.000, 0.667)
Li (0.251, 0.997, 0.000)
Li (0.749, 0.997, 0.000)
Li (0.251, 0.501, 0.500)
Li (0.249, 0.000, 0.667)
Fe (0.000, 0.720, 0.661)
Fe (0.000, 0.218, 0.508)
Fe (0.000, 0.724, 0.996)
Fe (0.500, 0.280, 0.672)
Co (0.500, 0.780, 0.494)
Co (0.500, 0.777, 0.161)
Co (0.000, 0.723, 0.328)
Co (0.500, 0.777, 0.826)
Mn (0.500, 0.282, 0.007)
Mn (0.500, 0.281, 0.340)
Mn (0.000, 0.218, 0.174)
Mn (0.000, 0.218, 0.840)

Results
ΔE_f (eV/f.u.): -52.012
Space-group type: No. 6
Theoretical density (g cm⁻³): 3.487
Raw total energy (eV/f.u.): -144.29
Distance to the lowest polymorph of the same formula (meV per atom): 18
Total magnetic moment (Bohr magnetons per cell): 48.0

# 5
First-principles (PBE+U) data for a geometry-optimized Li3MnFeCoP3O12 structure, as listed in the Materials Project.

a b c (Å): 10.471 6.098 14.318
angles (deg): 90.00 89.85 90.00
Fractional coordinates of all 84 atoms:
O (0.404, 0.750, 0.079)
O (0.666, 0.048, 0.405)
O (0.040, 0.750, 0.570)
O (0.955, 0.250, 0.099)
O (0.096, 0.250, 0.579)
O (0.598, 0.250, 0.921)
O (0.664, 0.451, 0.074)
O (0.905, 0.750, 0.087)
O (0.546, 0.750, 0.599)
O (0.903, 0.750, 0.752)
O (0.336, 0.953, 0.263)
O (0.544, 0.750, 0.264)
O (0.666, 0.452, 0.405)
O (0.832, 0.953, 0.572)
O (0.163, 0.049, 0.426)
O (0.334, 0.547, 0.928)
O (0.598, 0.250, 0.253)
O (0.668, 0.453, 0.738)
O (0.338, 0.951, 0.595)
O (0.542, 0.750, 0.930)
O (0.664, 0.049, 0.074)
O (0.164, 0.049, 0.093)
O (0.042, 0.750, 0.901)
O (0.456, 0.250, 0.068)
O (0.833, 0.954, 0.238)
O (0.954, 0.250, 0.431)
O (0.041, 0.750, 0.237)
O (0.338, 0.549, 0.595)
O (0.668, 0.047, 0.738)
O (0.336, 0.547, 0.263)
O (0.832, 0.547, 0.572)
O (0.598, 0.250, 0.587)
O (0.097, 0.250, 0.914)
O (0.460, 0.250, 0.736)
O (0.164, 0.047, 0.763)
O (0.097, 0.250, 0.246)
O (0.835, 0.546, 0.903)
O (0.164, 0.451, 0.093)
O (0.164, 0.453, 0.763)
O (0.163, 0.451, 0.426)
O (0.835, 0.954, 0.903)
O (0.956, 0.250, 0.765)
O (0.833, 0.546, 0.238)
O (0.334, 0.953, 0.928)
O (0.406, 0.750, 0.414)
O (0.403, 0.750, 0.747)
O (0.458, 0.250, 0.402)
O (0.903, 0.750, 0.420)
Li (0.000, 0.001, 0.000)
Li (0.501, 0.002, 0.167)
Li (0.998, 0.000, 0.667)
Li (0.501, 0.000, 0.833)
Li (0.501, 0.500, 0.501)
Li (0.501, 0.000, 0.501)
Li (0.999, 0.001, 0.333)
Li (0.000, 0.499, 0.000)
Li (0.998, 0.500, 0.667)
Li (0.501, 0.498, 0.167)
Li (0.501, 0.500, 0.833)
Li (0.999, 0.499, 0.333)
P (0.407, 0.750, 0.306)
P (0.903, 0.750, 0.528)
P (0.906, 0.750, 0.859)
P (0.093, 0.250, 0.471)
P (0.094, 0.250, 0.138)
P (0.408, 0.750, 0.640)
P (0.904, 0.750, 0.195)
P (0.405, 0.750, 0.972)
P (0.093, 0.250, 0.807)
P (0.594, 0.250, 0.028)
P (0.595, 0.250, 0.361)
P (0.597, 0.250, 0.694)
Fe (0.218, 0.750, 0.825)
Fe (0.281, 0.250, 0.326)
Fe (0.280, 0.250, 0.993)
Fe (0.720, 0.750, 0.341)
Mn (0.720, 0.750, 0.007)
Mn (0.282, 0.250, 0.660)
Mn (0.218, 0.750, 0.160)
Mn (0.219, 0.750, 0.493)
Co (0.781, 0.250, 0.839)
Co (0.720, 0.750, 0.673)
Co (0.780, 0.250, 0.173)
Co (0.780, 0.250, 0.507)

Results
ΔE_f (eV/f.u.): -38.790
Space-group type: No. 6
Theoretical density (g cm⁻³): 3.454
Raw total energy (eV/f.u.): -131.07
Distance to the lowest polymorph of the same formula (meV per atom): 647
Total magnetic moment (Bohr magnetons per cell): 1.8